1) The following is a DFT calculation (PBE with a Hubbard U) of an optimized crystal structure of LiP3W2O13.

Summary:
Size of the total moment (μB per atom): 0.11

abc: 8.934 8.934 8.907
angles: 69.18 69.18 105.29
Fractional coordinates of all 38 atoms:
O 0.701 0.963 0.467
P 0.488 0.512 0.250
O 0.501 0.603 0.582
O 0.802 0.856 0.768
O 0.603 0.501 0.082
O 0.930 0.254 0.406
O 0.299 0.037 0.533
O 0.144 0.198 0.732
W 0.339 0.172 0.671
O 0.152 0.600 0.097
O 0.290 0.444 0.293
O 0.254 0.930 0.906
O 0.710 0.556 0.707
O 0.070 0.746 0.594
O 0.400 0.848 0.403
Li 0.500 0.000 0.000
P 0.260 0.848 0.560
W 0.828 0.661 0.829
O 0.739 0.261 0.250
O 0.198 0.144 0.232
O 0.556 0.710 0.207
W 0.172 0.339 0.171
O 0.444 0.290 0.793
O 0.856 0.802 0.268
O 0.848 0.400 0.903
P 0.152 0.740 0.940
P 0.740 0.152 0.440
Li 0.000 0.500 0.500
O 0.037 0.299 0.033
O 0.499 0.397 0.418
O 0.600 0.152 0.597
W 0.661 0.828 0.329
P 0.512 0.488 0.750
O 0.397 0.499 0.918
O 0.746 0.070 0.094
O 0.963 0.701 0.967
O 0.261 0.739 0.750
P 0.848 0.260 0.060


2) The following is a DFT calculation (PBE with a Hubbard U) of an optimized crystal structure of LiP3W2O13.

Summary:
Size of the total moment (μB per atom): 0.11

abc: 22.637 6.487 8.832
angles: 52.72 90.00 90.00
Fractional coordinates of all 76 atoms:
O 0.085 0.646 0.459
P 0.901 0.980 0.301
P 0.584 0.464 0.154
O 0.845 0.545 0.230
O 0.112 0.246 0.478
P 0.084 0.536 0.346
O 0.023 0.504 0.290
O 0.155 0.455 0.770
O 0.192 0.418 0.063
O 0.840 0.061 0.208
O 0.794 0.943 0.946
W 0.792 0.255 0.958
W 0.208 0.745 0.042
O 0.066 0.811 0.705
W 0.708 0.255 0.458
P 0.296 0.357 0.420
O 0.345 0.455 0.270
O 0.436 0.262 0.526
W 0.292 0.745 0.542
P 0.099 0.020 0.699
O 0.221 0.838 0.441
O 0.737 0.515 0.183
O 0.779 0.162 0.559
O 0.263 0.485 0.817
O 0.585 0.354 0.041
O 0.660 0.061 0.708
O 0.625 0.312 0.326
O 0.434 0.811 0.205
O 0.279 0.838 0.941
O 0.888 0.754 0.522
Li 0.150 0.975 0.290
W 0.565 0.555 0.722
O 0.059 0.133 0.772
O 0.875 0.312 0.826
O 0.237 0.485 0.317
O 0.523 0.496 0.210
O 0.941 0.867 0.228
O 0.375 0.688 0.674
O 0.125 0.688 0.174
O 0.294 0.057 0.554
W 0.435 0.445 0.278
O 0.655 0.545 0.730
O 0.441 0.133 0.272
W 0.935 0.555 0.222
Li 0.350 0.975 0.790
Li 0.850 0.025 0.710
O 0.415 0.646 0.959
O 0.915 0.354 0.541
O 0.721 0.162 0.059
O 0.936 0.738 0.974
O 0.559 0.867 0.728
O 0.160 0.939 0.792
O 0.477 0.504 0.790
O 0.692 0.582 0.437
O 0.706 0.943 0.446
O 0.064 0.262 0.026
P 0.416 0.536 0.846
O 0.934 0.189 0.295
O 0.763 0.515 0.683
O 0.340 0.939 0.292
O 0.564 0.738 0.474
P 0.599 0.980 0.801
P 0.916 0.464 0.654
O 0.308 0.418 0.563
P 0.704 0.643 0.580
O 0.388 0.246 0.978
O 0.977 0.496 0.710
P 0.204 0.357 0.920
P 0.796 0.643 0.080
O 0.808 0.582 0.937
P 0.401 0.020 0.199
O 0.612 0.754 0.022
W 0.065 0.445 0.778
O 0.566 0.189 0.795
Li 0.650 0.025 0.210
O 0.206 0.057 0.054


Which of them is least stable? Easy: 1).